{
  "formula": "Na3YInP3O12",
  "functional": "PBE",
  "state": "relaxed",
  "cell": [[9.2619, -0.0128, -0.0093], [-4.6421, 8.0263, 0.0055], [-0.0265, 0.0034, 22.6611]],
  "species": ["Na", "P", "O", "P", "O", "O", "O", "P", "O", "Na", "In", "P", "O", "O", "In", "O", "O", "Y", "Y", "P", "Na", "O", "P", "O", "In", "O", "Na", "P", "O", "O", "Na", "O", "Na", "O", "O", "O", "P", "P", "In", "O", "In", "Na", "O", "O", "P", "Na", "O", "Na", "O", "O", "Na", "O", "O", "Na", "Na", "Y", "O", "O", "O", "Y", "Na", "O", "O", "O", "In", "O", "Na", "O", "O", "Y", "O", "P", "O", "O", "O", "O", "O", "O", "P", "O", "P", "O", "O", "P", "Na", "O", "P", "O", "O", "O", "O", "O", "O", "O", "O", "O", "O", "O", "O", "Na", "O", "O", "P", "O", "O", "P", "O", "O", "O", "Na", "Y", "O", "O", "O", "O", "O", "O", "P", "O", "Na"],
  "frac_coords": [[0.3337, 0.0249, 0.4165], [0.9716, 0.3376, 0.5828], [0.4772, 0.1261, 0.6274], [0.3346, 0.9658, 0.9203], [0.2047, 0.9945, 0.1947], [0.6832, 0.1396, 0.0229], [0.1293, 0.6863, 0.4810], [0.3230, 0.3570, 0.4116], [0.6858, 0.1578, 0.7495], [0.3338, 0.6656, 0.6667], [0.0121, 0.0076, 0.8504], [0.6405, 0.9688, 0.4180], [0.3126, 0.4836, 0.7557], [0.6802, 0.5405, 0.5375], [0.3367, 0.6714, 0.8191], [0.5367, 0.8783, 0.3628], [0.2149, 0.0134, 0.3078], [0.3264, 0.6644, 0.3155], [0.9925, 0.9857, 0.1461], [0.0024, 0.6971, 0.7539], [0.0286, 0.3321, 0.0762], [0.3123, 0.8671, 0.9785], [0.6627, 0.0339, 0.0792], [0.8184, 0.8284, 0.9129], [0.6644, 0.3413, 0.9823], [0.7899, 0.7782, 0.3110], [0.6883, 0.3773, 0.3336], [0.9776, 0.6349, 0.0737], [0.1570, 0.4632, 0.2501], [0.6589, 0.5142, 0.9180], [0.3135, 0.9763, 0.0764], [0.0169, 0.7977, 0.6976], [0.6946, 0.0295, 0.9156], [0.1965, 0.2184, 0.7022], [0.8676, 0.3208, 0.5267], [0.4780, 0.1668, 0.2501], [0.0276, 0.3618, 0.9173], [0.3027, 0.3100, 0.7566], [0.3401, 0.6625, 0.0132], [0.6666, 0.5172, 0.2512], [0.3371, 0.6588, 0.5157], [0.9701, 0.6644, 0.9157], [0.1873, 0.1789, 0.0819], [0.5478, 0.6543, 0.8533], [0.6629, 0.6404, 0.5885], [0.3382, 0.6670, 0.1618], [0.3677, 0.8783, 0.8681], [0.0239, 0.6843, 0.5798], [0.4913, 0.1425, 0.9217], [0.1698, 0.9698, 0.9143], [0.9983, 0.9980, 0.4986], [0.6526, 0.5537, 0.6479], [0.8872, 0.5602, 0.0145], [0.6394, 0.0043, 0.2522], [0.6675, 0.9740, 0.5791], [0.6732, 0.3455, 0.1820], [0.4327, 0.1046, 0.5174], [0.3025, 0.4538, 0.4637], [0.8424, 0.5210, 0.7513], [0.6576, 0.3371, 0.4839], [0.0033, 0.0028, 0.9957], [0.9805, 0.1755, 0.5859], [0.3536, 0.8465, 0.5810], [0.0010, 0.1824, 0.9152], [0.9919, 0.9869, 0.3503], [0.9835, 0.7827, 0.8099], [0.3574, 0.3565, 0.2513], [0.1302, 0.6541, 0.3700], [0.5236, 0.6861, 0.2506], [0.6555, 0.3282, 0.6844], [0.6428, 0.1195, 0.1350], [0.3037, 0.0045, 0.2508], [0.4523, 0.3494, 0.1429], [0.7933, 0.7986, 0.1987], [0.5290, 0.8363, 0.7548], [0.0113, 0.8160, 0.0781], [0.8218, 0.8173, 0.5862], [0.4824, 0.3395, 0.7526], [0.6973, 0.6971, 0.2531], [0.8201, 0.9960, 0.4168], [0.7013, 0.9992, 0.7533], [0.1805, 0.9868, 0.5829], [0.3435, 0.4919, 0.0784], [0.3605, 0.0182, 0.5771], [0.6447, 0.6462, 0.7534], [0.4602, 0.3140, 0.0316], [0.6393, 0.6705, 0.9124], [0.8737, 0.5224, 0.1252], [0.8503, 0.3455, 0.9176], [0.1632, 0.1800, 0.4140], [0.5538, 0.8719, 0.4755], [0.8367, 0.3081, 0.2484], [0.1497, 0.6418, 0.0775], [0.8592, 0.5142, 0.4211], [0.7916, 0.9827, 0.6984], [0.8236, 0.0221, 0.0817], [0.1561, 0.6720, 0.7564], [0.0034, 0.1986, 0.1946], [0.1168, 0.4691, 0.8621], [0.6213, 0.3117, 0.8362], [0.8837, 0.3575, 0.6382], [0.5016, 0.8606, 0.0770], [0.9951, 0.2912, 0.2501], [0.5480, 0.6982, 0.9643], [0.8053, 0.0210, 0.8103], [0.0343, 0.6719, 0.4223], [0.0285, 0.8359, 0.4180], [0.2236, 0.2128, 0.8138], [0.5083, 0.6623, 0.5826], [0.9704, 0.3028, 0.4171], [0.0140, 0.0075, 0.6511], [0.1259, 0.4453, 0.9746], [0.9775, 0.1899, 0.3073], [0.6571, 0.1454, 0.4185], [0.3347, 0.8549, 0.2510], [0.4770, 0.3342, 0.4168], [0.1453, 0.4978, 0.5807], [0.3655, 0.3370, 0.0834], [0.3339, 0.4438, 0.3525], [0.9977, 0.3643, 0.7553]]
}

{
  "formula": "Na3YInP3O12",
  "functional": "PBE",
  "state": "relaxed",
  "cell": [[-7.9679, -8.3323, -11.0871], [3.3859, -7.8620, 3.5056], [-3.2877, 2.2995, 8.3432]],
  "species": ["O", "Na", "O", "O", "P", "Na", "O", "P", "O", "O", "Na", "Y", "P", "O", "O", "O", "O", "Na", "O", "P", "O", "In", "O", "O", "P", "Y", "O", "O", "Na", "Y", "O", "O", "O", "O", "O", "O", "Na", "O", "O", "P", "O", "O", "O", "P", "O", "O", "In", "Na", "P", "O", "O", "P", "In", "O", "O", "O", "P", "O", "O", "O", "O", "O", "Y", "O", "In", "Na", "P", "Na", "O", "O", "P", "O", "Na", "O", "O", "Na", "O", "Na", "O", "O"],
  "frac_coords": [[0.6565, 0.1315, 0.4169], [0.0037, 0.3933, 0.2501], [0.9363, 0.0324, 0.5643], [0.9436, 0.9612, 0.0772], [0.9976, 0.9418, 0.7341], [0.7408, 0.7204, 0.4900], [0.5759, 0.6546, 0.2423], [0.5000, 0.4501, 0.7396], [0.1597, 0.5778, 0.7488], [0.5594, 0.5474, 0.9047], [0.2447, 0.7791, 0.9969], [0.8986, 0.7489, 0.9424], [0.3546, 0.8931, 0.7560], [0.4323, 0.5388, 0.5675], [0.3585, 0.8459, 0.6007], [0.6543, 0.8669, 0.9143], [0.7614, 0.6789, 0.2524], [0.3114, 0.5673, 0.7049], [0.0582, 0.9585, 0.4136], [0.8523, 0.6072, 0.2617], [0.0527, 0.6482, 0.0818], [0.6026, 0.2587, 0.5488], [0.2676, 0.1726, 0.2590], [0.9517, 0.3508, 0.9406], [0.0011, 0.0536, 0.2465], [0.1029, 0.2394, 0.0495], [0.7620, 0.3185, 0.7549], [0.5486, 0.1446, 0.0785], [0.7395, 0.2798, 0.9886], [0.8968, 0.2503, 0.4407], [0.6563, 0.0756, 0.7481], [0.9184, 0.8428, 0.7350], [0.0489, 0.3586, 0.5764], [0.5776, 0.3490, 0.7403], [0.2398, 0.3453, 0.7385], [0.0519, 0.0407, 0.8980], [0.3134, 0.4402, 0.2204], [0.5617, 0.4590, 0.4155], [0.6566, 0.9229, 0.2481], [0.3583, 0.1007, 0.2702], [0.4576, 0.1513, 0.4471], [0.2639, 0.8211, 0.7467], [0.4216, 0.6511, 0.2521], [0.6491, 0.9066, 0.7452], [0.7410, 0.8466, 0.7499], [0.0792, 0.1588, 0.2545], [0.4014, 0.7498, 0.4468], [0.5010, 0.8845, 0.2484], [0.6493, 0.0918, 0.2456], [0.3494, 0.9328, 0.2580], [0.1639, 0.4308, 0.2508], [0.1519, 0.4093, 0.7432], [0.6008, 0.7414, 0.0478], [0.7388, 0.1550, 0.2452], [0.3619, 0.1504, 0.1152], [0.4241, 0.3503, 0.7483], [0.8515, 0.3934, 0.7621], [0.8409, 0.5597, 0.7449], [0.9182, 0.1490, 0.2399], [0.9521, 0.6536, 0.4410], [0.8424, 0.4404, 0.2462], [0.3464, 0.0604, 0.7486], [0.3968, 0.2488, 0.9430], [0.4352, 0.4604, 0.0800], [0.1021, 0.7598, 0.5488], [0.8081, 0.0633, 0.7059], [0.1545, 0.5985, 0.2510], [0.8076, 0.9347, 0.2068], [0.8560, 0.3360, 0.6104], [0.8571, 0.6627, 0.1099], [0.5003, 0.5530, 0.2477], [0.0794, 0.8434, 0.7446], [0.9987, 0.6117, 0.7360], [0.5501, 0.8513, 0.5736], [0.4530, 0.8427, 0.9351], [0.4995, 0.1143, 0.7401], [0.1606, 0.3641, 0.9134], [0.2445, 0.2204, 0.4977], [0.1578, 0.6347, 0.4190], [0.2442, 0.6655, 0.2519]]
}

{
  "formula": "Na7ZnIn3P6O24",
  "functional": "PBE",
  "state": "relaxed",
  "cell": [[9.1286, -0.0004, -0.0018], [-4.5647, 7.9021, 0.0108], [-0.0044, 0.0294, 22.5488]],
  "species": ["In", "O", "O", "O", "O", "P", "Na", "P", "O", "In", "Zn", "O", "O", "Na", "O", "In", "Na", "Na", "P", "O", "O", "O", "O", "Na", "P", "P", "Na", "P", "O", "O", "Na", "O", "Na", "O", "O", "O", "Na", "O", "O", "Na", "P", "O", "P", "In", "In", "P", "In", "O", "Na", "O", "P", "O", "O", "O", "O", "O", "Na", "Na", "Na", "O", "O", "O", "O", "O", "O", "O", "P", "O", "O", "O", "O", "O", "Na", "O", "O", "O", "O", "O", "O", "O", "O", "O", "In", "O", "O", "O", "Na", "O", "O", "P", "O", "Na", "P", "O", "O", "O", "O", "O", "Na", "O", "Zn", "Zn", "O", "Na", "Na", "O", "O", "Na", "O", "P", "P", "O", "O", "O", "O", "O", "P", "P", "In", "P", "O", "O", "In"],
  "frac_coords": [[0.6635, 0.3335, 0.4873], [0.5240, 0.6357, 0.8598], [0.1504, 0.4492, 0.9672], [0.7794, 0.9661, 0.6945], [0.1039, 0.4634, 0.8560], [0.3675, 0.0331, 0.5841], [0.6360, 0.6262, 0.7465], [0.9991, 0.6990, 0.7482], [0.5004, 0.8539, 0.0804], [0.0006, 0.0077, 0.1518], [0.6703, 0.3336, 0.1773], [0.6411, 0.5016, 0.9220], [0.4990, 0.1477, 0.9211], [0.0000, 0.9998, 0.0024], [0.6819, 0.1594, 0.7446], [0.0068, 0.0071, 0.6506], [0.7084, 0.6765, 0.4128], [0.3241, 0.0318, 0.4135], [0.3329, 0.3655, 0.4156], [0.4771, 0.1168, 0.6391], [0.5217, 0.8375, 0.7547], [0.1845, 0.0038, 0.5873], [0.1805, 0.2189, 0.6985], [0.9903, 0.6274, 0.2450], [0.2984, 0.0009, 0.2513], [0.3352, 0.9692, 0.9174], [0.3746, 0.0097, 0.7468], [0.6339, 0.9672, 0.4174], [0.6885, 0.1333, 0.0255], [0.4957, 0.3508, 0.4218], [0.6654, 0.9691, 0.5843], [0.1473, 0.6610, 0.0815], [0.6775, 0.3449, 0.8328], [0.8107, 0.0298, 0.8059], [0.4769, 0.1601, 0.2458], [0.7798, 0.8118, 0.1951], [0.6667, 0.3333, 0.3270], [0.3122, 0.8624, 0.9732], [0.5225, 0.6854, 0.2548], [0.3039, 0.9696, 0.0849], [0.9990, 0.2980, 0.2531], [0.5215, 0.8890, 0.3619], [0.7022, 0.7016, 0.2516], [0.3301, 0.6667, 0.8198], [0.9998, 0.9931, 0.8492], [0.7005, 0.0005, 0.7500], [0.3328, 0.6596, 0.5168], [0.3644, 0.8916, 0.8605], [0.0109, 0.0115, 0.4983], [0.0158, 0.1848, 0.9120], [0.3717, 0.3331, 0.0841], [0.9831, 0.8148, 0.0893], [0.0372, 0.2190, 0.1990], [0.5521, 0.8565, 0.4734], [0.1803, 0.9958, 0.9136], [0.2245, 0.1931, 0.8087], [0.3213, 0.6541, 0.1639], [0.0293, 0.6979, 0.5847], [0.6368, 0.0092, 0.2457], [0.3189, 0.4804, 0.7552], [0.3152, 0.8376, 0.2548], [0.2986, 0.4486, 0.4692], [0.3622, 0.4989, 0.0795], [0.2164, 0.0267, 0.3072], [0.8047, 0.8316, 0.9125], [0.6398, 0.1174, 0.1387], [0.0318, 0.3643, 0.9144], [0.1374, 0.4990, 0.5802], [0.8544, 0.5043, 0.4223], [0.1958, 0.1685, 0.0879], [0.6827, 0.5231, 0.2465], [0.0151, 0.8265, 0.4120], [0.3715, 0.3624, 0.2458], [0.1110, 0.6325, 0.3620], [0.5130, 0.6615, 0.5813], [0.6972, 0.5584, 0.5279], [0.4432, 0.1325, 0.5259], [0.1627, 0.6852, 0.7542], [0.4808, 0.3596, 0.1396], [0.5480, 0.6953, 0.9723], [0.3696, 0.4755, 0.3590], [0.1744, 0.1869, 0.4109], [0.3336, 0.6670, 0.3189], [0.8410, 0.5205, 0.7439], [0.8794, 0.3593, 0.6400], [0.8109, 0.9846, 0.4122], [0.9909, 0.3641, 0.7473], [0.8316, 0.8137, 0.5881], [0.0346, 0.8095, 0.6917], [0.6679, 0.6339, 0.5853], [0.6469, 0.5286, 0.6410], [0.6978, 0.0331, 0.9198], [0.6656, 0.0335, 0.0837], [0.4480, 0.3041, 0.0264], [0.1878, 0.9677, 0.1950], [0.6498, 0.1458, 0.4217], [0.4773, 0.3176, 0.7448], [0.1440, 0.6966, 0.4734], [0.3325, 0.3009, 0.9191], [0.9732, 0.1683, 0.5882], [0.6636, 0.3333, 0.6772], [0.0005, 0.0006, 0.3427], [0.9715, 0.1923, 0.3099], [0.9686, 0.2925, 0.4130], [0.3325, 0.6545, 0.6642], [0.3536, 0.8537, 0.5808], [0.8107, 0.7843, 0.3073], [0.6691, 0.6969, 0.0852], [0.8191, 0.0038, 0.0873], [0.6308, 0.6661, 0.9170], [0.9623, 0.3332, 0.5847], [0.8508, 0.3375, 0.9206], [0.1613, 0.4791, 0.2556], [0.8857, 0.5315, 0.1437], [0.8393, 0.3152, 0.2463], [0.8537, 0.5559, 0.0316], [0.9651, 0.6340, 0.0870], [0.0331, 0.6669, 0.4176], [0.3231, 0.6593, 0.0168], [0.3009, 0.3005, 0.7517], [0.8578, 0.3037, 0.5269], [0.9655, 0.7821, 0.8020], [0.6768, 0.3405, 0.9861]]
}

{
  "formula": "NaPrInSbO6",
  "functional": "PBE",
  "state": "relaxed",
  "cell": [[3.1388, -3.2489, -3.5734], [-1.0851, 0.0671, -5.6564], [3.7319, 2.4802, -3.6191]],
  "species": ["O", "Pr", "In", "O", "O", "O", "O", "O", "Sb", "Na"],
  "frac_coords": [[0.2584, 0.7416, 0.7416], [0.7500, 0.7500, 0.7500], [0.0000, 0.0000, 0.0000], [0.2584, 0.7416, 0.2584], [0.7416, 0.2584, 0.7416], [0.7416, 0.2584, 0.2584], [0.2584, 0.2584, 0.7416], [0.7416, 0.7416, 0.2584], [0.5000, 0.5000, 0.5000], [0.2500, 0.2500, 0.2500]]
}

{
  "formula": "Rb2Na3InO4",
  "functional": "PBE",
  "state": "relaxed",
  "cell": [[-5.8778, 4.2355, -2.1537], [-2.9678, 0.6118, 9.3029], [5.4562, 8.1833, 1.2025]],
  "species": ["Na", "O", "O", "O", "O", "Rb", "In", "O", "In", "Rb", "O", "Rb", "O", "Na", "O", "O", "Rb", "Na", "Na", "In", "Rb", "O", "O", "In", "Na", "Rb", "Na", "O", "Na", "Na", "O", "Rb", "Na", "O", "Na", "Rb", "Na", "O", "O", "Na"],
  "frac_coords": [[0.2474, 0.4820, 0.3535], [0.2343, 0.6933, 0.4817], [0.5000, 0.5822, 0.7745], [0.7657, 0.3067, 0.5183], [0.7657, 0.6933, 0.4817], [0.5000, 0.2682, 0.7590], [0.0000, 0.2757, 0.6279], [0.2343, 0.3067, 0.5183], [0.5000, 0.2243, 0.1279], [0.0000, 0.2318, 0.2590], [0.2657, 0.8067, 0.9817], [0.5000, 0.7318, 0.2410], [0.5000, 0.0644, 0.2748], [0.7474, 0.0180, 0.8535], [0.0000, 0.4356, 0.7748], [0.5000, 0.4178, 0.2255], [0.2451, 0.5000, 0.0000], [0.2474, 0.5180, 0.6465], [0.7474, 0.9820, 0.1465], [0.0000, 0.7243, 0.3721], [0.7549, 0.5000, 0.0000], [0.5000, 0.9356, 0.7252], [0.7343, 0.8067, 0.9817], [0.5000, 0.7757, 0.8721], [0.0000, 0.7657, 0.0810], [0.2549, 0.0000, 0.5000], [0.2526, 0.0180, 0.8535], [0.2657, 0.1933, 0.0183], [0.5000, 0.2657, 0.4190], [0.0000, 0.2343, 0.9190], [0.0000, 0.9178, 0.2745], [0.0000, 0.7682, 0.7410], [0.7526, 0.4820, 0.3535], [0.0000, 0.5644, 0.2252], [0.7526, 0.5180, 0.6465], [0.7451, 0.0000, 0.5000], [0.5000, 0.7343, 0.5810], [0.7343, 0.1933, 0.0183], [0.0000, 0.0822, 0.7255], [0.2526, 0.9820, 0.1465]]
}

Respective ΔE_f values: -2.81 -2.81 -2.51 -2.29 -1.64 eV/atom.
Respective electronic total energy values: -6.838 -6.837 -6.252 -6.142 -4.209 eV/atom.